Density functional theory data (GGA-PBE) for crystalline MgSc3 at its relaxed geometry.

The structure belongs to space group Imm2 (No. 44); the cell edges are 3.277, 10.546 and 5.595 Å and the angles 90.00°, 90.00° and 90.00°. The inequivalent atoms are Mg at (0.000, 0.000, 0.000), Sc at (0.000, 0.252, 0.670) and Sc at (0.000, 0.500, 0.012).

As for the calculated total energy: -5.1287 eV/atom. The value obtained for the formation energy is 0.021 eV per atom. The calculation puts the distance to the lowest polymorph of the same formula at 0.00 kJ/mol of atoms.